(1)
DFT (PBE) results for a geometry-optimized NaCdAsS3 structure.

```
NaCdAsS3
1.0
5.7670 0.0000 0.0000
0.0000 16.7340 0.0000
-5.6430 0.0000 5.8259
Na Cd As S
4 4 4 12
direct
0.2011 0.0742 0.2342
0.2011 0.4258 0.7342
0.7989 0.5742 0.2658
0.7989 0.9258 0.7658
0.2442 0.7493 0.7455
0.2442 0.7507 0.2455
0.7558 0.2493 0.7545
0.7558 0.2507 0.2545
0.2820 0.1006 0.7703
0.2820 0.3994 0.2703
0.7180 0.6006 0.7297
0.7180 0.8994 0.2297
0.1791 0.2362 0.7139
0.1791 0.2638 0.2139
0.3642 0.5976 0.7721
0.3642 0.9024 0.2721
0.3724 0.6004 0.3403
0.3724 0.8996 0.8403
0.6276 0.1004 0.1597
0.6276 0.3996 0.6597
0.6358 0.0976 0.7279
0.6358 0.4024 0.2279
0.8209 0.7362 0.7861
0.8209 0.7638 0.2861
```

Computed properties:
Energy with MP2020 corrections: -4.066 eV per atom
Magnetization: 0.00 μB/atom

=====

(2)
DFT (PBE) results for a geometry-optimized Cd2AsO2 structure.

```
Cd2AsO2
1.0
0.0000 5.6134 8.2920
4.9893 0.0000 8.2920
4.9893 5.6134 0.0000
Cd As O
8 4 8
direct
0.1526 0.7927 0.2369
0.2073 0.8474 0.6821
0.2369 0.3179 0.1526
0.3179 0.2369 0.7927
0.6821 0.7631 0.2073
0.7631 0.6821 0.8474
0.7927 0.1526 0.3179
0.8474 0.2073 0.7631
0.0000 0.5000 0.5000
0.5000 0.0000 0.5000
0.5000 0.5000 0.0000
0.5000 0.5000 0.5000
0.1063 0.5540 0.6373
0.2024 0.6373 0.5540
0.3627 0.7976 0.8937
0.4460 0.8937 0.7976
0.5540 0.1063 0.2024
0.6373 0.2024 0.1063
0.7976 0.3627 0.4460
0.8937 0.4460 0.3627
```

Computed properties:
Energy with MP2020 corrections: -3.396 eV per atom
Magnetization: 0.00 μB/atom

=====

(3)
DFT (PBE) results for a geometry-optimized Cd2As2O7 structure.

```
Cd2As2O7
1.0
3.5570 -4.6225 0.0000
3.5570 4.6225 0.0000
-1.0277 0.0000 4.8513
Cd As O
2 2 7
direct
0.1954 0.8046 0.0000
0.8046 0.1954 0.0000
0.2733 0.2733 0.5916
0.7267 0.7267 0.4084
0.1102 0.4198 0.7775
0.1132 0.1132 0.2837
0.4198 0.1102 0.7775
0.5000 0.5000 0.5000
0.5802 0.8898 0.2225
0.8868 0.8868 0.7163
0.8898 0.5802 0.2225
```

Computed properties:
Energy with MP2020 corrections: -5.832 eV per atom

=====

(4)
DFT (PBE) results for a geometry-optimized Pr2CdAs2O structure.

```
Pr2CdAs2O
1.0
3.4421 0.0000 0.0000
0.0000 3.4421 0.0000
0.0000 0.0000 15.5081
Pr Cd As O
2 1 2 1
direct
0.0000 0.0000 0.1371
0.0000 0.0000 0.8629
0.0000 0.0000 0.5000
0.0000 0.0000 0.3367
0.0000 0.0000 0.6633
0.0000 0.0000 0.0000
```

Computed properties:
Energy with MP2020 corrections: -4.528 eV per atom
Magnetization: 0.14 μB/atom

=====

(5)
DFT (PBE) results for a geometry-optimized SrCdAs2O7 structure.

```
SrCdAs2O7
1.0
5.8985 0.0000 0.0000
-1.1039 7.1998 0.0000
-0.0485 -1.5016 7.4773
Sr Cd As O
2 2 4 14
direct
0.1903 0.2748 0.4357
0.8097 0.7252 0.5643
0.1845 0.1677 0.8991
0.8155 0.8323 0.1009
0.2924 0.6691 0.8862
0.3173 0.7788 0.3206
0.6827 0.2212 0.6794
0.7076 0.3309 0.1138
0.0884 0.8155 0.8756
0.1058 0.9170 0.3234
0.2140 0.4463 0.7679
0.2676 0.6345 0.4702
0.2870 0.6185 0.1075
0.4084 0.1030 0.6603
0.4345 0.2252 0.1412
0.5655 0.7748 0.8588
0.5916 0.8970 0.3397
0.7130 0.3815 0.8925
0.7324 0.3655 0.5298
0.7860 0.5537 0.2321
0.8942 0.0830 0.6766
0.9116 0.1845 0.1244
```

Computed properties:
Energy with MP2020 corrections: -6.340 eV per atom
Magnetization: 0.00 μB/atom

=====

(6)
DFT (PBE) results for a geometry-optimized CdAsPt5 structure.

```
CdAsPt5
1.0
4.0271 0.0000 0.0000
0.0000 4.0271 0.0000
0.0000 0.0000 7.2541
Cd As Pt
1 1 5
direct
0.0000 0.0000 0.0000
0.5000 0.5000 0.5000
0.0000 0.5000 0.2869
0.0000 0.5000 0.7131
0.5000 0.0000 0.2869
0.5000 0.0000 0.7131
0.5000 0.5000 0.0000
```

Computed properties:
Final energy: -5.370 eV per atom

=====

(7)
DFT (PBE) results for a geometry-optimized RbCd4As3 structure.

```
RbCd4As3
1.0
2.2890 1.3215 12.4728
-2.2890 1.3215 12.4728
0.0000 -2.6431 12.4728
Rb Cd As
1 4 3
direct
0.0000 0.0000 0.0000
0.1973 0.1973 0.1973
0.4138 0.4138 0.4138
0.5862 0.5862 0.5862
0.8027 0.8027 0.8027
0.2690 0.2690 0.2690
0.5000 0.5000 0.5000
0.7310 0.7310 0.7310
```

Computed properties:
Final energy: -2.574 eV per atom
Magnetization: 0.00 μB/atom

=====

(8)
DFT (PBE) results for a geometry-optimized CeAs3 structure.

```
CeAs3
1.0
4.3625 0.0000 0.0000
0.0000 4.3625 0.0000
0.0000 0.0000 4.3625
Ce As
1 3
direct
0.0000 0.0000 0.0000
0.0000 0.5000 0.5000
0.5000 0.0000 0.5000
0.5000 0.5000 0.0000
```

Computed properties:
Final energy: -5.666 eV per atom

=====

(9)
DFT (PBE) results for a geometry-optimized CeAs structure.

```
CeAs
1.0
0.0000 2.9882 2.9882
2.9882 0.0000 2.9882
2.9882 2.9882 0.0000
Ce As
1 1
direct
0.0000 0.0000 0.0000
0.5000 0.5000 0.5000
```

Computed properties:
Final energy: -6.725 eV per atom

=====

(10)
DFT (PBE) results for a geometry-optimized Ce4As3 structure.

```
Ce4As3
1.0
-4.4517 4.4517 4.4517
4.4517 -4.4517 4.4517
4.4517 4.4517 -4.4517
Ce As
8 6
direct
0.0000 0.3588 0.5000
0.0000 0.8588 0.5000
0.1412 0.1412 0.1412
0.3588 0.5000 0.0000
0.5000 0.0000 0.3588
0.5000 0.0000 0.8588
0.6412 0.6412 0.6412
0.8588 0.5000 0.0000
0.1250 0.7500 0.8750
0.2500 0.6250 0.3750
0.3750 0.2500 0.6250
0.6250 0.3750 0.2500
0.7500 0.8750 0.1250
0.8750 0.1250 0.7500
```

Computed properties:
Final energy: -6.584 eV per atom

=====

(11)
DFT (PBE) results for a geometry-optimized Cs2CeAsS3Cl2 structure.

```
Cs2CeAsS3Cl2
1.0
17.9831 0.0000 0.0000
0.0000 6.7011 0.0000
0.0000 0.0000 9.5503
Cs Ce As S Cl
8 4 4 12 8
direct
0.0725 0.2500 0.0406
0.2192 0.7500 0.8380
0.2808 0.2500 0.3380
0.4275 0.7500 0.5406
0.5725 0.2500 0.4594
0.7192 0.7500 0.6620
0.7808 0.2500 0.1620
0.9275 0.7500 0.9594
0.0571 0.7500 0.4336
0.4429 0.2500 0.9336
0.5571 0.7500 0.0664
0.9429 0.2500 0.5664
0.1347 0.2500 0.6223
0.3653 0.7500 0.1223
0.6347 0.2500 0.8777
0.8653 0.7500 0.3777
0.0606 0.5038 0.6942
0.0606 0.9962 0.6942
0.0903 0.2500 0.4014
0.4097 0.7500 0.9014
0.4394 0.0038 0.1942
0.4394 0.4962 0.1942
0.5606 0.5038 0.8058
0.5606 0.9962 0.8058
0.5903 0.2500 0.0986
0.9097 0.7500 0.5986
0.9394 0.0038 0.3058
0.9394 0.4962 0.3058
0.1056 0.7500 0.1444
0.2170 0.7500 0.4708
0.2830 0.2500 0.9708
0.3944 0.2500 0.6444
0.6056 0.7500 0.3556
0.7170 0.7500 0.0292
0.7830 0.2500 0.5292
0.8944 0.2500 0.8556
```

Computed properties:
Energy with MP2020 corrections: -4.919 eV per atom
Magnetization: 0.11 μB/atom

=====

(12)
DFT (PBE) results for a geometry-optimized Ce3As2ClO7 structure.

```
Ce3As2ClO7
1.0
12.9170 0.0000 0.0000
0.0000 12.9170 0.0000
0.0000 0.0000 5.6210
Ce As Cl O
12 8 4 28
direct
0.0529 0.3636 0.0000
0.1364 0.5529 0.5000
0.2279 0.7721 0.9721
0.2721 0.2721 0.4721
0.3636 0.0529 0.0000
0.4471 0.8636 0.5000
0.5529 0.1364 0.5000
0.6364 0.9471 0.0000
0.7279 0.7279 0.4721
0.7721 0.2279 0.9721
0.8636 0.4471 0.5000
0.9471 0.6364 0.0000
0.0179 0.7943 0.4687
0.2057 0.9821 0.4687
0.2943 0.4821 0.9687
0.4821 0.2943 0.9687
0.5179 0.7057 0.9687
0.7057 0.5179 0.9687
0.7943 0.0179 0.4687
0.9821 0.2057 0.4687
0.1650 0.1650 0.9341
0.3350 0.6650 0.4341
0.6650 0.3350 0.4341
0.8350 0.8350 0.9341
0.0000 0.5000 0.2429
0.0000 0.5000 0.7429
0.0766 0.7250 0.7169
0.0904 0.7230 0.2402
0.0926 0.2878 0.4304
0.2122 0.5926 0.9304
0.2230 0.4096 0.7402
0.2250 0.4234 0.2169
0.2750 0.9234 0.7169
0.2770 0.9096 0.2402
0.2878 0.0926 0.4304
0.4074 0.7878 0.9304
0.4096 0.2230 0.7402
0.4234 0.2250 0.2169
0.5000 0.0000 0.2429
0.5000 0.0000 0.7429
0.5766 0.7750 0.2169
0.5904 0.7770 0.7402
0.5926 0.2122 0.9304
0.7122 0.9074 0.4304
0.7230 0.0904 0.2402
0.7250 0.0766 0.7169
0.7750 0.5766 0.2169
0.7770 0.5904 0.7402
0.7878 0.4074 0.9304
0.9074 0.7122 0.4304
0.9096 0.2770 0.2402
0.9234 0.2750 0.7169
```

Computed properties:
Energy with MP2020 corrections: -7.778 eV per atom
Magnetization: 0.23 μB/atom

=====

Which formula does entry 8 have?
CeAs3